Compound: Ce2Sb
Source: the Materials Project database
Functional: PBE
Structure: relaxed

Geometry as extended XYZ:
```
6
Lattice="-2.2290 2.2290 8.6851 2.2290 -2.2290 8.6851 2.2290 2.2290 -8.6851" Properties=species:S:1:pos:R:3 pbc="T T T"
Ce 2.2290 0.0000 0.0000
Ce 0.0000 0.0000 3.0349
Ce 0.0000 2.2290 0.0000
Ce 0.0000 0.0000 14.3352
Sb 0.0000 0.0000 6.2756
Sb 0.0000 0.0000 11.0946
```

- ΔE_f: -0.813 eV per atom

Compound: CeScSb
Source: the Materials Project database
Functional: PBE
Structure: relaxed

Geometry as extended XYZ:
```
6
Lattice="-2.2305 2.2305 8.3198 2.2305 -2.2305 8.3198 2.2305 2.2305 -8.3198" Properties=species:S:1:pos:R:3 pbc="T T T"
Ce 0.0000 0.0000 2.9115
Ce 0.0000 0.0000 13.7281
Sc 2.2305 0.0000 0.0000
Sc 0.0000 2.2305 0.0000
Sb 0.0000 0.0000 6.2153
Sb 0.0000 0.0000 10.4244
```

- Size of the total moment: 4.66 μB/cell
- ΔE_f: -0.815 eV per atom

Compound: CeSbSe
Source: the Materials Project database
Functional: PBE
Structure: relaxed

Geometry as extended XYZ:
```
12
Lattice="17.8025 0.0000 0.0000 0.0000 4.2456 0.0000 0.0000 0.0000 4.2583" Properties=species:S:1:pos:R:3 pbc="T T T"
Ce 2.6185 1.0614 1.0138
Ce 6.2828 3.1842 3.1429
Ce 11.5197 1.0614 1.1154
Ce 15.1841 3.1842 3.2445
Sb 0.0026 1.0614 3.1864
Sb 17.7999 3.1842 1.0718
Sb 8.9039 1.0614 3.2010
Sb 8.8986 3.1842 1.0573
Se 3.2620 3.1842 3.1340
Se 5.6393 1.0614 1.0049
Se 12.1633 3.1842 3.2534
Se 14.5405 1.0614 1.1243
```

- ΔE_f: -1.519 eV per atom